## SmInPt4 (r2SCAN)

Data for crystalline SmInPt4 at its relaxed geometry.

Calculated values
Volume   18.522 Å³/atom
Formation enthalpy at 0 K   -5.37 eV/f.u.
Total magnetization   0.0 Bohr magnetons per cell

a b c (Å): 7.632 7.632 7.632
angles (deg): 90.00 90.00 90.00
Space group F-43m (No. 216)
Asymmetric unit:
Sm1 0.000 0.000 0.000
In1 0.250 0.250 0.750
Pt1 0.124 0.124 0.376

---

## Li4Ge9O20 (r2SCAN)

Data for crystalline Li4Ge9O20 at its relaxed geometry.

Calculated values
Volume   11.177 Å³/atom
Formation enthalpy at 0 K   -63.24 eV/f.u.
Total magnetization   0.0 Bohr magnetons per cell

a b c (Å): 12.379 7.930 7.515
angles (deg): 90.00 90.49 90.00
Space group C2 (No. 5)
Asymmetric unit:
Li1 0.000 0.000 0.000
Li2 0.000 0.386 0.000
Li3 0.196 0.796 0.622
Ge1 0.000 0.434 0.500
Ge2 0.096 0.087 0.332
Ge3 0.098 0.685 0.240
Ge4 0.153 0.162 0.707
Ge5 0.237 0.509 0.952
O1 0.008 0.200 0.784
O2 0.016 0.575 0.680
O3 0.068 0.895 0.200
O4 0.111 0.994 0.544
O5 0.112 0.583 0.033
O6 0.117 0.305 0.494
O7 0.172 0.985 0.870
O8 0.198 0.310 0.879
O9 0.206 0.660 0.389
O10 0.221 0.138 0.228

---

## PbSe (r2SCAN)

Data for crystalline PbSe at its relaxed geometry.

Calculated values
Volume   29.527 Å³/atom
Formation enthalpy at 0 K   -1.35 eV/f.u.
Total magnetization   0.0 Bohr magnetons per cell

a b c (Å): 6.182 6.182 6.182
angles (deg): 90.00 90.00 90.00
Space group Fm-3m (No. 225)
Asymmetric unit:
Pb1 0.000 0.000 0.000
Se1 0.000 0.000 0.500

---

## DyGePt (r2SCAN)

Data for crystalline DyGePt at its relaxed geometry.

Calculated values
Volume   19.266 Å³/atom
Formation enthalpy at 0 K   -3.75 eV/f.u.
Total magnetization   0.0 Bohr magnetons per cell

a b c (Å): 7.018 4.358 7.559
angles (deg): 90.00 90.00 90.00
Space group Pnma (No. 62)
Asymmetric unit:
Dy1 0.003 0.250 0.205
Ge1 0.190 0.250 0.588
Pt1 0.205 0.750 0.416